Ti2ZnO4 | PBE | optimized geometry

Calculated values
Spin magnetization = 0.29 μB/atom
Distance to the lowest polymorph of the same formula = 140 meV per atom
MP2020-corrected energy = -7.99 eV per atom
Volume = 11.4 Å³ per atom
ΔE_f = -2726 meV/atom

a = 6.1031 Å, b = 6.1031 Å, c = 6.1031 Å
α = 121.14°, β = 119.74°, γ = 89.25°
Sites, in units of the cell vectors:
1 Ti 0.5000 0.5000 0.5000
2 O 0.7417 0.2498 0.0080
3 O 0.7417 0.7337 0.4920
4 O 0.2651 0.7559 0.5091
5 O 0.2583 0.7502 0.9920
6 Ti 0.8689 0.1189 0.7500
7 Zn 0.5000 0.5000 0.0000
8 O 0.2583 0.2663 0.5080
9 Zn 0.0000 0.5000 0.5000
10 O 0.7468 0.7559 0.9909
11 O 0.7349 0.2441 0.4909
12 Ti 0.5000 0.0000 0.0000
13 O 0.2532 0.2441 0.0091
14 Ti 0.1311 0.8811 0.2500